[1]
Here is a relaxed structure of Na3La2Zr2P5SO24 from the Materials Project database. Energies are from GGA-PBE.

a b c (Å): 9.2473 9.2378 23.9933
angles (deg): 90.14 89.91 119.63
With the nearest neighbours (Å) after each atom.
Positions (direct):
O (0.2055, 0.1781, 0.8018)  1 P 1.57
O (0.8299, 0.0302, 0.7979)  1 P 1.58
O (0.8441, 0.5167, 0.4266)  1 P 1.56
O (0.1142, 0.6121, 0.0822)  1 P 1.55
O (0.1213, 0.4882, 0.5839)  1 P 1.53
O (0.8537, 0.5099, 0.1361)  1 P 1.57
O (0.0176, 0.7964, 0.6981)  1 P 1.52
O (0.4872, 0.1569, 0.5302)  1 P 1.54
O (0.1302, 0.4285, 0.9689)  1 P 1.55
O (0.3261, 0.8658, 0.2561)  1 S 1.48
O (0.4835, 0.1581, 0.9273)  1 P 1.56
O (0.4876, 0.3433, 0.1369)  1 P 1.57
O (0.0151, 0.2186, 0.1938)  1 P 1.53
O (0.9999, 0.1756, 0.9055)  1 P 1.57
O (0.8170, 0.7909, 0.5820)  1 P 1.54
O (0.6719, 0.1536, 0.0316)  1 P 1.56
O (0.8309, 0.0515, 0.0834)  1 P 1.54
O (0.5306, 0.8973, 0.3681)  1 P 1.53
O (0.0941, 0.6297, 0.3653)  1 P 1.53
O (0.2981, 0.4235, 0.4661)  1 S 1.48
O (0.1819, 0.1823, 0.4064)  1 S 1.49
O (0.3724, 0.9113, 0.8656)  1 P 1.53
O (0.5360, 0.8607, 0.7559)  1 P 1.53
O (0.8190, 0.7934, 0.3016)  1 P 1.58
O (0.2065, 0.9893, 0.1998)  1 S 1.47
O (0.7838, 0.7983, 0.1978)  1 P 1.52
O (0.6566, 0.5148, 0.6361)  1 P 1.57
O (0.6697, 0.5198, 0.9254)  1 S 1.49
O (0.8262, 0.3012, 0.2447)  1 P 1.57
O (0.4913, 0.1488, 0.6359)  1 P 1.57
O (0.5119, 0.8786, 0.0836)  1 P 1.53
O (0.8281, 0.5209, 0.7461)  1 P 1.57
O (0.9489, 0.1688, 0.5838)  1 P 1.54
O (0.3636, 0.4918, 0.0831)  1 P 1.55
O (0.6953, 0.5235, 0.2457)  1 P 1.57
O (0.3130, 0.4647, 0.7590)  1 P 1.53
O (0.2102, 0.1812, 0.0835)  1 P 1.55
O (0.7062, 0.1778, 0.7450)  1 P 1.58
O (0.9669, 0.7844, 0.0815)  1 P 1.53
O (0.8199, 0.9980, 0.4060)  1 P 1.58
O (0.4797, 0.3301, 0.4253)  1 S 1.49
O (0.6693, 0.5197, 0.5309)  1 P 1.55
O (0.8563, 0.3442, 0.6393)  1 P 1.57
O (0.2971, 0.8700, 0.9682)  1 P 1.54
O (0.5747, 0.7004, 0.9661)  1 S 1.48
O (0.9754, 0.7937, 0.8023)  1 P 1.56
O (0.1349, 0.6596, 0.7570)  1 P 1.55
O (0.7835, 0.9872, 0.6932)  1 P 1.53
O (0.9742, 0.1730, 0.2986)  1 P 1.58
O (0.3649, 0.4564, 0.3673)  1 S 1.47
O (0.8164, 0.8180, 0.9074)  1 S 1.49
O (0.1403, 0.4650, 0.2568)  1 P 1.53
O (0.8448, 0.3291, 0.5330)  1 P 1.56
O (0.3884, 0.8863, 0.5824)  1 P 1.55
O (0.5444, 0.6347, 0.8670)  1 S 1.47
O (0.6671, 0.1555, 0.4271)  1 P 1.56
O (0.1730, 0.9976, 0.9060)  1 P 1.56
O (0.5748, 0.8724, 0.4719)  1 P 1.54
O (0.1921, 0.2188, 0.6986)  1 P 1.53
O (0.1299, 0.7050, 0.4679)  1 P 1.54
O (0.4677, 0.1665, 0.2470)  1 S 1.49
O (0.2178, 0.0354, 0.5805)  1 P 1.53
O (0.8436, 0.5150, 0.0305)  1 P 1.54
O (0.0957, 0.4606, 0.8644)  1 P 1.54
O (0.4719, 0.3060, 0.7449)  1 P 1.56
O (0.4805, 0.3291, 0.0315)  1 P 1.55
O (0.5065, 0.6364, 0.5827)  1 P 1.55
O (0.5307, 0.6743, 0.2572)  1 P 1.53
O (0.2119, 0.0270, 0.3004)  1 S 1.49
O (0.6570, 0.1481, 0.1372)  1 P 1.56
O (0.8446, 0.3325, 0.9267)  1 P 1.56
O (0.0029, 0.8274, 0.4044)  1 P 1.57
Zr (0.9804, 0.9912, 0.3486)  4 O 2.03-2.11
Zr (0.6609, 0.3375, 0.6866)  6 O 2.06-2.22
Zr (0.6706, 0.3395, 0.1864)  6 O 2.04-2.29
Zr (0.6744, 0.3380, 0.4821)  6 O 2.03-2.23
Zr (0.0077, 0.0061, 0.8477)  6 O 2.05-2.27
Zr (0.6635, 0.3267, 0.9822)  6 O 2.02-2.23
Na (0.6690, 0.9619, 0.5835)  3 O 2.33-2.55
Na (0.0395, 0.3321, 0.0837)  3 O 2.32-2.57
Na (0.6584, 0.3264, 0.8336)  6 O 2.68-2.81
Na (0.0074, 0.9928, 0.4994)  6 O 2.64-2.85
Na (0.0031, 0.3635, 0.7511)  4 O 2.39-2.66
Na (0.0080, 0.9951, 0.9984)  6 O 2.68-2.82
Na (0.3350, 0.6674, 0.6668)  6 O 2.67-2.84
Na (0.3464, 0.6692, 0.1672)  6 O 2.65-2.87
Na (0.6782, 0.3362, 0.3327)  6 O 2.62-2.86
P (0.6624, 0.6155, 0.5828)  4 O 1.54-1.57
P (0.3312, 0.9820, 0.9170)  4 O 1.53-1.56
P (0.9471, 0.3348, 0.5854)  4 O 1.53-1.57
P (0.6425, 0.9775, 0.4185)  4 O 1.53-1.58
P (0.9453, 0.6097, 0.0822)  4 O 1.53-1.57
P (0.9905, 0.2906, 0.2483)  4 O 1.53-1.58
P (0.0206, 0.3526, 0.9166)  4 O 1.54-1.57
P (0.2983, 0.2932, 0.7506)  4 O 1.53-1.57
P (0.6648, 0.0533, 0.0845)  4 O 1.53-1.56
P (0.3858, 0.3360, 0.0838)  4 O 1.55-1.57
P (0.0201, 0.6697, 0.4160)  4 O 1.53-1.57
P (0.3921, 0.0562, 0.5821)  4 O 1.53-1.57
P (0.7104, 0.0088, 0.7479)  4 O 1.53-1.58
P (0.7046, 0.6971, 0.2500)  4 O 1.52-1.58
P (0.9896, 0.6963, 0.7513)  4 O 1.52-1.57
La (0.3349, 0.6753, 0.0167)  6 O 2.31-2.44
La (0.3292, 0.6653, 0.3191)  6 O 2.31-2.41
La (0.0109, 0.9957, 0.6459)  6 O 2.26-2.46
La (0.3375, 0.6790, 0.8205)  6 O 2.28-2.42
La (0.9950, 0.9902, 0.1460)  6 O 2.25-2.42
La (0.3218, 0.6643, 0.5165)  6 O 2.31-2.44
S (0.6504, 0.6684, 0.9164)  4 O 1.47-1.49
S (0.3311, 0.3493, 0.4161)  4 O 1.47-1.49
S (0.3018, 0.0123, 0.2512)  4 O 1.47-1.49

Calculated values
Crystal system ... triclinic
Space-group type ... P1, No. 1
Calculated total energy ... -7.4767 eV/atom


[2]
Here is a relaxed structure of Ba6Li2Ta9Ti7O42 from the Materials Project database. Energies are from GGA-PBE.

a b c (Å): 9.2449 9.2449 11.8798
angles (deg): 89.97 89.97 119.86
With the nearest neighbours (Å) after each atom.
Positions (direct):
O (0.1677, 0.4824, 0.6000)  1 Ti 1.93, 1 Ta 1.96
O (0.2013, 0.2013, 0.5764)  1 Ta 2.01, 2 Ti 2.12
O (0.6855, 0.1691, 0.4008)  2 Ta 1.95-2.05
O (0.4838, 0.3146, 0.4004)  2 Ta 1.95-2.06
O (0.3148, 0.8328, 0.6001)  1 Ti 1.93, 1 Ta 1.96
O (0.4824, 0.1677, 0.6000)  1 Ti 1.93, 1 Ta 1.96
O (0.7998, 0.9999, 0.5760)  1 Ta 2.03, 2 Ti 2.12-2.13
O (0.7924, 0.7924, 0.7511)  2 Ti 1.87-1.96, 1 Li 1.89
O (0.8050, 0.8050, 0.0775)  3 Ti 2.02-2.06
O (0.3146, 0.4838, 0.4004)  2 Ta 1.95-2.06
O (0.2027, 0.9998, 0.7498)  1 Li 1.90, 1 Ti 1.93, 1 Ta 1.97
O (0.7960, 0.9999, 0.2497)  1 Li 1.89, 1 Ta 1.94, 1 Ti 1.98
O (0.5172, 0.8316, 0.1017)  1 Ti 1.92, 1 Ta 1.99
O (0.1687, 0.4829, 0.9008)  2 Ta 1.96-2.04
O (0.9999, 0.7998, 0.5760)  1 Ta 2.03, 2 Ti 2.12-2.13
O (0.8316, 0.5172, 0.1017)  1 Ti 1.92, 1 Ta 1.99
O (0.5176, 0.6859, 0.6003)  1 Ti 1.94, 1 Ta 1.96
O (0.5162, 0.8308, 0.4003)  2 Ta 1.95-2.06
O (0.8014, 0.8014, 0.4231)  2 Ta 2.10, 1 Ti 2.12
O (0.0012, 0.2005, 0.0767)  1 Ta 2.01, 2 Ti 2.11-2.16
O (0.8308, 0.5162, 0.4003)  2 Ta 1.95-2.06
O (0.1691, 0.6855, 0.4008)  2 Ta 1.95-2.05
O (0.0000, 0.1991, 0.4231)  1 Ti 2.05, 2 Ta 2.12
O (0.3167, 0.8321, 0.8991)  2 Ta 1.95-2.06
O (0.1673, 0.6869, 0.0968)  1 Ti 1.95, 1 Ta 1.99
O (0.0018, 0.8021, 0.9225)  2 Ti 2.00-2.14, 1 Ta 2.08
O (0.6864, 0.5179, 0.9027)  1 Ti 1.92, 1 Ta 2.01
O (0.9999, 0.7960, 0.2497)  1 Li 1.89, 1 Ta 1.94, 1 Ti 1.98
O (0.8321, 0.3167, 0.8991)  2 Ta 1.95-2.06
O (0.8328, 0.3148, 0.6001)  1 Ti 1.93, 1 Ta 1.96
O (0.2030, 0.2030, 0.2502)  1 Li 1.90, 1 Ti 1.94, 1 Ta 1.96
O (0.2005, 0.0012, 0.0767)  1 Ta 2.01, 2 Ti 2.11-2.16
O (0.4829, 0.1687, 0.9008)  2 Ta 1.96-2.04
O (0.3143, 0.4821, 0.1007)  1 Ti 1.93, 1 Ta 1.97
O (0.8021, 0.0018, 0.9225)  2 Ti 2.00-2.14, 1 Ta 2.08
O (0.4821, 0.3143, 0.1007)  1 Ti 1.93, 1 Ta 1.97
O (0.1989, 0.1989, 0.9225)  1 Ti 2.06, 2 Ta 2.11
O (0.1991, 0.0000, 0.4231)  1 Ti 2.05, 2 Ta 2.12
O (0.5179, 0.6864, 0.9027)  1 Ti 1.92, 1 Ta 2.01
O (0.9998, 0.2027, 0.7498)  1 Li 1.90, 1 Ti 1.93, 1 Ta 1.97
O (0.6869, 0.1673, 0.0968)  1 Ti 1.95, 1 Ta 1.99
O (0.6859, 0.5176, 0.6003)  1 Ti 1.94, 1 Ta 1.96
Li (0.9958, 0.9958, 0.7438)  3 O 1.89-1.90
Li (0.9992, 0.9992, 0.2359)  3 O 1.89-1.90
Ba (0.4127, 0.4127, 0.7511)  6 O 2.84-2.86
Ba (0.5950, 0.5950, 0.2447)  6 O 2.78-2.92
Ba (0.9952, 0.5942, 0.7494)  6 O 2.79-2.92
Ba (0.4077, 0.9997, 0.2435)  6 O 2.76-2.92
Ba (0.5942, 0.9952, 0.7494)  6 O 2.79-2.92
Ba (0.9997, 0.4077, 0.2435)  6 O 2.76-2.92
Ti (0.7520, 0.7520, 0.5972)  3 O 1.87-1.94
Ti (0.2491, 0.0007, 0.5917)  6 O 1.93-2.13
Ti (0.2495, 0.2495, 0.0911)  6 O 1.93-2.11
Ti (0.7493, 0.7493, 0.9129)  6 O 1.92-2.14
Ti (0.0007, 0.2491, 0.5917)  6 O 1.93-2.13
Ti (0.7494, 0.9944, 0.0866)  5 O 1.92-2.06
Ti (0.9944, 0.7494, 0.0866)  5 O 1.92-2.06
Ta (0.9987, 0.7513, 0.4096)  6 O 1.94-2.12
Ta (0.7513, 0.9987, 0.4096)  6 O 1.94-2.12
Ta (0.3355, 0.6660, 0.0046)  6 O 1.97-2.06
Ta (0.9981, 0.2465, 0.9116)  6 O 1.95-2.11
Ta (0.2465, 0.9981, 0.9116)  6 O 1.95-2.11
Ta (0.6669, 0.3331, 0.5074)  6 O 1.96-2.06
Ta (0.6660, 0.3355, 0.0046)  6 O 1.97-2.06
Ta (0.2490, 0.2490, 0.4109)  6 O 1.95-2.12
Ta (0.3331, 0.6669, 0.5074)  6 O 1.96-2.06

Calculated values
Crystal system ... monoclinic
Space-group type ... Cm, No. 8
Calculated total energy ... -8.8098 eV/atom


no.,magnetic moment (μB/cell)
1,0.00
2,0.93